{
  "formula": "CaPd",
  "functional": "PBE-GGA",
  "state": "relaxed",
  "cell": [[-1.789, 2.155, 2.147], [-2.722, -0.022, -2.247], [-1.358, -2.795, 1.673]],
  "species": ["Pd", "Ca"],
  "frac_coords": [[0.500, 0.500, 0.500], [0.000, 0.000, 0.000]],
  "formation_energy_ev_per_atom": -0.6751,
  "space_group": "Pm-3m, No. 221"
}